1.
Below is Na2Sr3As4 after structural relaxation, with properties calculated at the GGA-PBE level.

abc: 9.6455 9.3416 13.8676
angles: 90.00 123.06 90.00
With the nearest neighbours (Å) after each atom.
Space group P2_1/c (No. 14)
One atom of each set of equivalent atoms:
Na 0.1560 0.2088 0.3601 x4  4 As 2.91-3.15, 1 Sr 3.23
Na 0.2461 0.5705 0.2827 x4  3 As 2.97-3.19
Sr 0.1029 0.6762 0.9305 x4  4 As 3.07-3.35
Sr 0.2702 0.0544 0.0592 x4  5 As 3.12-3.45, 1 Na 3.23
Sr 0.4248 0.5313 0.8530 x4  6 As 3.02-3.22
As 0.0377 0.5201 0.6912 x4  3 Na 2.91-3.07, 2 Sr 3.12-3.14
As 0.2324 0.1112 0.6022 x4  1 As 2.59
As 0.4802 0.7205 0.5266 x4  1 As 2.51
As 0.4887 0.2253 0.7812 x4  2 As 2.51-2.59

Calculated values
- E_form (kJ per mole of atoms) = -72.0
- DFT total energy (eV/atom) = -3.6740
- excess energy over the best structure of this formula in the dataset (kJ/mol of atoms) = 11.1

2.
Below is Na4Sr2TiAs4 after structural relaxation, with properties calculated at the GGA-PBE level.

abc: 9.6253 16.7146 7.6230
angles: 90.00 90.17 90.00
With the nearest neighbours (Å) after each atom.
Space group Cc (No. 9)
One atom of each set of equivalent atoms:
Na 0.0000 0.0690 0.0000 x4  4 As 2.96-3.28
Na 0.0905 0.2348 0.6747 x4  5 As 3.17-3.41, 1 Ti 3.33, 2 Na 3.43-3.45
Na 0.0935 0.4274 0.5139 x4  4 As 2.94-3.27
Na 0.3028 0.3610 0.0095 x4  4 As 2.97-3.31
Sr 0.0032 0.2614 0.1790 x4  5 As 3.18-3.34, 1 Ti 3.37, 1 Na 3.49
Sr 0.2907 0.0288 0.6778 x4  5 As 3.13-3.38, 1 Ti 3.40
Ti 0.3018 0.1682 0.2886 x4  4 As 2.47-2.52
As 0.0089 0.4055 0.8974 x4  1 Ti 2.48
As 0.0860 0.0954 0.3868 x4  1 Ti 2.52
As 0.2961 0.1642 0.9617 x4  1 Ti 2.49
As 0.2959 0.3084 0.3911 x4  1 Ti 2.47

Calculated values
- E_form (kJ per mole of atoms) = -76.1
- DFT total energy (eV/atom) = -3.9888

3.
Below is Na2Te2As after structural relaxation, with properties calculated at the GGA-PBE level.

abc: 8.8061 9.9158 14.0841
angles: 90.00 90.00 90.00
With the nearest neighbours (Å) after each atom.
Space group P2_12_12_1 (No. 19)
One atom of each set of equivalent atoms:
Na 0.0753 0.1255 0.3761 x4  6 Te 3.22-3.43
Na 0.0881 0.6410 0.8701 x4  5 Te 3.17-3.37
Na 0.1770 0.5606 0.5624 x4  2 As 3.09-3.11, 4 Te 3.17-3.41
Na 0.2318 0.7531 0.3086 x4  4 Te 3.22-3.41
Te 0.0174 0.8411 0.4995 x4  1 As 2.65
Te 0.0835 0.4505 0.2925 x4  1 As 2.63
Te 0.1030 0.9592 0.7860 x4  1 As 2.62
Te 0.2364 0.2456 0.5669 x4  1 As 2.62
As 0.0995 0.9745 0.0606 x4  1 As 2.53, 2 Te 2.62-2.63
As 0.2260 0.8516 0.6345 x4  1 As 2.53, 2 Te 2.62-2.65

Calculated values
- E_form (kJ per mole of atoms) = -54.0
- DFT total energy (eV/atom) = -3.2775

4.
Below is NaZnAs after structural relaxation, with properties calculated at the GGA-PBE level.

abc: 4.1927 4.1927 7.1543
angles: 90.00 90.00 90.00
With the nearest neighbours (Å) after each atom.
Space group P4/nmm (No. 129, origin choice 2)
One atom of each set of equivalent atoms:
Na 0.2500 0.2500 0.1486 x2  5 As 3.08-3.12, 4 Zn 3.27
Zn 0.2500 0.7500 0.5000 x2  4 As 2.61
As 0.2500 0.2500 0.7175 x2  4 Zn 2.61

Calculated values
- E_form (kJ per mole of atoms) = -41.0
- DFT total energy (eV/atom) = -2.8388

5.
Below is NaZn4As3 after structural relaxation, with properties calculated at the GGA-PBE level.

abc: 4.1992 4.1992 32.8865
angles: 90.00 90.00 120.00
With the nearest neighbours (Å) after each atom.
Space group R-3m (No. 166, hexagonal axes)
One atom of each set of equivalent atoms:
Na 0.0000 0.0000 0.0000 x3  6 As 3.10, 6 Zn 3.46
Zn 0.0000 0.0000 0.1993 x6  4 As 2.48-2.65
Zn 0.0000 0.0000 0.4082 x6  3 As 2.48
As 0.0000 0.0000 0.2747 x6  4 Zn 2.48
As 0.0000 0.0000 0.5000 x3  6 Zn 2.65

Calculated values
- E_form (kJ per mole of atoms) = -25.1
- DFT total energy (eV/atom) = -2.8030

6.
Below is Nb2As after structural relaxation, with properties calculated at the GGA-PBE level.

abc: 18.6189 3.5399 14.3107
angles: 90.00 90.00 90.00
With the nearest neighbours (Å) after each atom.
Space group Pmma (No. 51)
One atom of each set of equivalent atoms:
Nb 0.0000 0.0000 0.0000 x2  4 As 2.61-2.85
Nb 0.0000 0.5000 0.5000 x2  4 As 2.68-2.74, 4 Nb 2.86
Nb 0.0015 0.0000 0.3429 x4  5 As 2.58-2.69, 2 Nb 2.86
Nb 0.0633 0.5000 0.1603 x4  4 As 2.65-2.69
Nb 0.1196 0.5000 0.9318 x4  5 As 2.70-2.95, 4 Nb 3.01
Nb 0.1509 0.0000 0.4969 x4  4 As 2.72
Nb 0.1645 0.0000 0.7383 x4  5 As 2.57-2.62
Nb 0.1669 0.0000 0.2594 x4  3 As 2.61-2.74, 2 Nb 2.92
Nb 0.2500 0.0000 0.9449 x2  4 As 2.57-2.68
Nb 0.2500 0.5000 0.1197 x2  4 As 2.75, 2 Nb 3.07
Nb 0.2500 0.5000 0.3802 x2  2 As 2.71, 4 Nb 2.92
Nb 0.2500 0.5000 0.6123 x2  3 As 2.71-2.90, 4 Nb 2.99
As 0.0449 0.0000 0.8272 x4  7 Nb 2.57-2.70
As 0.1048 0.5000 0.3659 x4  8 Nb 2.61-2.74
As 0.1050 0.5000 0.6278 x4  8 Nb 2.62-2.72
As 0.1432 0.0000 0.0704 x4  9 Nb 2.65-2.85
As 0.2500 0.5000 0.8148 x2  6 Nb 2.57-2.62

Calculated values
- E_form (kJ per mole of atoms) = -50.9
- DFT total energy (eV/atom) = -8.8144

7.
Below is NbAs2 after structural relaxation, with properties calculated at the GGA-PBE level.

abc: 9.4518 3.4178 7.8850
angles: 90.00 119.39 90.00
With the nearest neighbours (Å) after each atom.
Space group C2/m (No. 12)
One atom of each set of equivalent atoms:
Nb 0.1569 0.0000 0.1961 x4  8 As 2.68-2.76
As 0.0949 0.5000 0.8932 x4  5 Nb 2.73-2.76, 1 As 3.00
As 0.1415 0.0000 0.5286 x4  1 As 2.48, 3 Nb 2.68-2.70

Calculated values
- E_form (kJ per mole of atoms) = -50.8
- DFT total energy (eV/atom) = -6.9996

8.
Below is Nb7As4 after structural relaxation, with properties calculated at the GGA-PBE level.

abc: 15.5662 3.5516 14.3009
angles: 90.00 104.83 90.00
With the nearest neighbours (Å) after each atom.
Space group C2/m (No. 12)
One atom of each set of equivalent atoms:
Nb 0.0000 0.0000 0.0000 x2  4 As 2.60-2.75
Nb 0.0000 0.5000 0.5000 x2  4 As 2.68-2.74, 4 Nb 2.92
Nb 0.0029 0.0000 0.6627 x4  5 As 2.59-2.66
Nb 0.0690 0.5000 0.1743 x4  4 As 2.68-2.71, 2 Nb 2.98
Nb 0.1638 0.5000 0.9714 x4  4 As 2.65-2.69
Nb 0.1768 0.0000 0.5417 x4  5 As 2.68-2.96
Nb 0.1962 0.0000 0.3101 x4  4 As 2.57-2.78
Nb 0.2109 0.0000 0.7998 x4  5 As 2.56-2.69
As 0.0640 0.0000 0.8488 x4  7 Nb 2.56-2.69
As 0.1268 0.5000 0.3979 x4  7 Nb 2.57-2.74
As 0.1295 0.5000 0.6651 x4  8 Nb 2.64-2.73
As 0.1730 0.0000 0.1109 x4  8 Nb 2.62-2.78

Calculated values
- E_form (kJ per mole of atoms) = -53.1
- DFT total energy (eV/atom) = -8.6725